No. 1
# YbNi4Au

A relaxed YbNi4Au crystal (r²SCAN, the Materials Project).

Output
- Magnetic moment: 0.000 μB per atom
- Energy of formation from the pure elements: -0.401 eV per atom

Unit cell a=6.8454 b=6.8454 c=6.8454 alpha=90.00 beta=90.00 gamma=90.00
Last column: nearest neighbours and their distance in Å.
Space group F-43m (No. 216)
Symmetry-distinct sites (fractional):
Yb  0.0000  0.0000  0.0000 x4  12 Ni 2.84, 4 Au 2.96
Ni  0.1244  0.1244  0.6244 x16  6 Ni 2.41-2.43
Au  0.2500  0.2500  0.2500 x4  12 Ni 2.84, 4 Yb 2.96

No. 2
# NpAu3

A relaxed NpAu3 crystal (r²SCAN, the Materials Project).

Output
- Magnetic moment: 0.981 μB per atom
- Energy of formation from the pure elements: -0.443 eV per atom

Unit cell a=4.9109 b=4.9109 c=6.9680 alpha=90.00 beta=90.00 gamma=90.00
Last column: nearest neighbours and their distance in Å.
Space group I4/mmm (No. 139)
Symmetry-distinct sites (fractional):
Np  0.0000  0.0000  0.0000 x2  8 Au 3.01
Au  0.0000  0.0000  0.5000 x2  8 Au 3.01
Au  0.0000  0.5000  0.2500 x4  4 Np 3.01, 4 Au 3.01

No. 3
# NpSi2Au2

A relaxed NpSi2Au2 crystal (r²SCAN, the Materials Project).

Output
- Magnetic moment: 0.809 μB per atom
- Energy of formation from the pure elements: -0.455 eV per atom

Unit cell a=4.2460 b=4.2460 c=10.3045 alpha=90.00 beta=90.00 gamma=90.00
Last column: nearest neighbours and their distance in Å.
Space group I4/mmm (No. 139)
Symmetry-distinct sites (fractional):
Np  0.0000  0.0000  0.0000 x2  8 Si 3.21, 8 Au 3.34
Si  0.0000  0.0000  0.3887 x4  1 Si 2.29, 4 Au 2.56
Au  0.0000  0.5000  0.2500 x4  4 Si 2.56

No. 4
# Au2O3

A relaxed Au2O3 crystal (r²SCAN, the Materials Project).

Output
- Magnetic moment: 0.000 μB per atom
- Energy of formation from the pure elements: -0.151 eV per atom

Unit cell a=10.5362 b=12.8778 c=3.9107 alpha=90.00 beta=90.00 gamma=90.00
Last column: nearest neighbours and their distance in Å.
Space group Fdd2 (No. 43)
Symmetry-distinct sites (fractional):
Au  0.1168  0.2956  0.0000 x16  4 O 1.96-2.07
O  0.0000  0.0000  0.4325 x8  2 Au 1.96
O  0.0181  0.1679  0.8667 x16  3 Au 2.01-2.07

No. 5
# PbAuO2

A relaxed PbAuO2 crystal (r²SCAN, the Materials Project).

Output
- Magnetic moment: 0.000 μB per atom
- Energy of formation from the pure elements: -0.729 eV per atom

Unit cell a=3.6533 b=5.5596 c=6.8690 alpha=87.70 beta=82.82 gamma=88.91
Last column: nearest neighbours and their distance in Å.
Space group P-1 (No. 2)
Symmetry-distinct sites (fractional):
Pb  0.1825  0.4988  0.2409 x2  4 O 2.29-2.47
Au  0.5000  0.0000  0.0000 x1  4 O 2.01-2.03
Au  0.5000  0.0000  0.5000 x1  2 O 2.02
O  0.2815  0.6873  0.9365 x2  1 Au 2.01
O  0.3817  0.1768  0.7513 x2  2 Au 2.02-2.03

No. 6
# RbAuO

A relaxed RbAuO crystal (r²SCAN, the Materials Project).

Output
- Magnetic moment: 0.000 μB per atom
- Energy of formation from the pure elements: -0.948 eV per atom

Unit cell a=9.9668 b=9.9668 c=5.8267 alpha=90.00 beta=90.00 gamma=90.00
Last column: nearest neighbours and their distance in Å.
Space group I4/mmm (No. 139)
Symmetry-distinct sites (fractional):
Rb  0.0000  0.3063  0.0000 x8  4 O 2.86-2.92
Au  0.1494  0.1494  0.5000 x8  2 O 2.03
O  0.0000  0.2884  0.5000 x8  2 Au 2.03

No. 7
# Au2Se3O10

A relaxed Au2Se3O10 crystal (r²SCAN, the Materials Project).

Output
- Magnetic moment: 0.000 μB per atom
- Energy of formation from the pure elements: -0.501 eV per atom

Unit cell a=16.9187 b=6.3214 c=8.4205 alpha=90.00 beta=90.00 gamma=90.00
Last column: nearest neighbours and their distance in Å.
Space group Cmc2_1 (No. 36)
Symmetry-distinct sites (fractional):
Au  0.1595  0.0245  0.0000 x8  4 O 1.99-2.01
Se  0.0000  0.1428  0.6494 x4  4 O 1.62-1.73
Se  0.1614  0.4665  0.3801 x8  3 O 1.72-1.74
O  0.0000  0.2359  0.4699 x4  1 Se 1.62
O  0.0000  0.3015  0.8000 x4  1 Se 1.62
O  0.0789  0.0273  0.1745 x8  1 Se 1.73
O  0.1531  0.3381  0.0210 x8  1 Se 1.72
O  0.1693  0.2855  0.5344 x8  1 Se 1.74
O  0.2399  0.0215  0.8251 x8  1 Se 1.74

No. 8
# Au2Se4O11

A relaxed Au2Se4O11 crystal (r²SCAN, the Materials Project).

Output
- Magnetic moment: 0.000 μB per atom
- Energy of formation from the pure elements: -0.584 eV per atom

Unit cell a=20.5962 b=4.1628 c=13.2345 alpha=90.00 beta=114.94 gamma=90.00
Last column: nearest neighbours and their distance in Å.
Space group C2/c (No. 15)
Symmetry-distinct sites (fractional):
Au  0.0000  0.0000  0.0000 x4  4 O 1.99-2.01
Au  0.2500  0.2500  0.0000 x4  4 O 1.99-2.02
Se  0.0759  0.2470  0.2516 x8  2 O 1.64-1.75
Se  0.1668  0.2388  0.5891 x8  3 O 1.73-1.74
O  0.0000  0.0086  0.2500 x4  2 Se 1.84
O  0.0351  0.3596  0.1111 x8  1 Se 1.75
O  0.0960  0.0129  0.4978 x8  1 Se 1.73
O  0.1286  0.0513  0.7552 x8  1 Se 1.64
O  0.1776  0.4096  0.4772 x8  1 Se 1.74
O  0.2324  0.0540  0.1261 x8  1 Se 1.73